NaV6O11, optimized geometry, DFT PBE+U; DFT total energy = -265.37 eV/cell; energy of formation from the pure elements = -3878 kJ/mol of formula units
1.0
-5.049 -0.272 2.992
3.094 -4.895 -0.993
6.734 1.917 11.539
O Na V
22 2 12
Cartesian
-0.466 -3.213 4.690 O
4.521 -3.283 4.569 O
-0.241 -4.074 1.950 O
1.695 -2.304 8.420 O
0.444 -1.022 6.424 O
4.992 0.823 11.506 O
5.192 -0.052 8.756 O
4.056 -1.652 12.463 O
-1.804 -1.662 2.574 O
6.918 -2.783 8.203 O
2.104 -3.413 6.001 O
-2.192 -0.482 5.243 O
0.683 -1.630 1.005 O
0.625 -0.330 3.574 O
2.147 -3.945 0.535 O
4.101 -2.935 9.872 O
0.232 0.012 8.889 O
2.574 0.692 12.938 O
2.620 0.141 7.474 O
3.040 -0.939 5.044 O
4.278 -2.244 7.015 O
6.525 -1.604 10.866 O
2.607 -0.406 10.131 Na
1.954 -2.906 3.033 Na
4.888 -1.496 5.228 V
0.972 0.277 1.665 V
3.206 -0.810 13.989 V
4.339 1.235 7.434 V
4.184 1.773 12.990 V
2.364 -1.633 6.724 V
5.705 1.624 9.776 V
-0.673 -1.340 4.512 V
5.409 -1.922 8.953 V
2.338 0.666 4.006 V
3.911 -4.079 6.228 V
5.730 -0.674 12.494 V


Li2V2CrP3O12, optimized geometry, DFT PBE+U; DFT total energy = -290.12 eV/cell; energy of formation from the pure elements = -4964 kJ/mol of formula units
1.0
4.498 7.424 0.000
-4.498 7.424 0.000
0.000 4.455 7.183
O V P Li Cr
24 4 6 4 2
Cartesian
3.193 8.936 1.534 O
-3.161 11.306 5.086 O
-1.528 11.386 0.012 O
2.975 11.231 2.549 O
-0.695 5.459 4.840 O
-0.695 13.844 2.343 O
1.543 6.860 1.082 O
0.599 3.273 1.315 O
-1.314 10.260 2.498 O
-0.276 10.650 6.771 O
-3.161 7.996 2.096 O
0.508 8.508 3.064 O
3.193 10.367 5.648 O
0.508 10.794 4.118 O
1.474 13.496 3.653 O
1.474 5.806 3.530 O
-0.276 8.652 0.412 O
0.599 16.030 5.868 O
-1.314 9.043 4.685 O
-1.528 7.917 7.171 O
1.257 13.006 1.131 O
1.257 6.296 6.052 O
2.975 8.071 4.634 O
1.543 12.442 6.101 O
-2.239 9.361 0.729 V
2.248 11.678 4.338 V
-2.239 9.941 6.454 V
2.248 7.624 2.844 V
0.883 5.341 4.912 P
0.530 7.424 0.000 P
-0.949 16.301 5.784 P
0.883 13.961 2.271 P
-0.949 3.001 1.399 P
-0.361 9.651 3.591 P
0.408 10.864 0.742 Li
-3.055 9.651 3.591 Li
3.223 7.424 0.000 Li
0.408 8.438 6.441 Li
2.206 4.836 1.828 Cr
2.206 14.467 5.354 Cr


Li3VSiCO7, optimized geometry, DFT PBE+U; DFT total energy = -362.18 eV/cell; energy of formation from the pure elements = -3180 kJ/mol of formula units
1.0
0.000 6.487 0.001
0.396 0.001 10.113
8.387 0.000 0.373
V O Li Si C
4 28 12 4 4
Cartesian
5.744 1.621 1.232 V
2.842 4.865 4.199 V
3.041 4.866 9.254 V
5.940 1.623 6.287 V
2.916 0.363 9.317 O
7.414 1.622 7.804 O
5.867 6.125 1.170 O
5.154 1.623 4.454 O
8.046 1.622 5.683 O
3.431 4.864 0.978 O
6.066 3.606 6.225 O
2.719 0.363 4.265 O
2.719 2.883 4.262 O
5.868 3.605 1.170 O
4.935 4.866 8.355 O
7.215 1.621 2.748 O
7.851 1.621 0.627 O
1.036 1.623 1.898 O
1.568 4.866 7.741 O
3.631 4.866 6.029 O
4.046 1.622 7.185 O
1.371 4.870 2.689 O
5.353 1.623 9.507 O
6.066 6.126 6.225 O
3.845 1.621 2.127 O
1.234 1.622 6.950 O
4.742 4.866 3.302 O
7.747 4.865 8.594 O
2.916 2.882 9.317 O
0.729 4.864 4.809 O
0.934 4.866 9.862 O
7.550 4.865 3.533 O
6.285 3.480 9.139 Li
2.696 0.239 6.397 Li
6.086 6.251 4.083 Li
1.065 1.622 3.960 Li
2.696 3.007 6.397 Li
7.520 4.865 1.475 Li
6.285 6.251 9.139 Li
1.263 1.622 9.012 Li
2.496 0.235 1.345 Li
2.498 3.006 1.343 Li
6.086 3.479 4.082 Li
7.717 4.865 6.535 Li
5.116 4.866 6.715 Si
4.918 4.865 1.662 Si
3.668 1.622 3.768 Si
3.866 1.622 8.825 Si
8.197 1.622 1.883 C
0.387 4.866 3.553 C
0.587 4.866 8.607 C
8.394 1.622 6.937 C


LiVBO4, optimized geometry, DFT PBE+U; DFT total energy = -50.90 eV/cell; piezoelectric modulus e_max = 0.53 C/m2; energy of formation from the pure elements = -1726 kJ/mol of formula units
1.0
-2.014 2.432 3.767
2.550 4.171 -0.508
-2.564 -2.139 -3.607
O Li V B
4 1 1 1
Cartesian
1.152 3.024 -0.231 O
-1.201 4.726 1.262 O
-3.326 -0.358 -1.004 O
-0.681 1.536 -0.723 O
0.268 3.302 1.629 Li
0.000 0.000 0.000 V
0.127 2.667 -1.243 B


Li9Mn2Co5O16, optimized geometry, DFT PBE+U; DFT total energy = -185.01 eV/cell; energy of formation from the pure elements = -5530 kJ/mol of formula units
1.0
3.016 0.000 0.000
-0.464 5.979 0.000
-0.243 -0.259 16.098
O Li Mn Co
16 9 2 5
Cartesian
0.995 4.251 15.986 O
0.049 0.011 1.946 O
1.036 4.309 4.050 O
1.210 1.280 8.151 O
1.110 4.480 8.054 O
-0.307 2.881 5.860 O
1.030 4.207 12.142 O
-0.357 2.825 13.993 O
2.262 5.662 14.132 O
1.153 1.362 11.961 O
2.676 2.921 2.190 O
2.915 -0.070 6.244 O
1.300 1.461 0.083 O
-0.075 -0.066 9.904 O
1.400 1.505 3.984 O
2.555 2.754 10.113 O
2.369 5.784 12.076 Li
1.172 1.278 14.077 Li
-0.474 2.737 16.068 Li
2.488 5.868 4.081 Li
-0.351 2.900 8.020 Li
1.306 1.396 6.032 Li
1.123 4.446 2.056 Li
1.018 4.329 10.034 Li
1.069 4.397 6.051 Li
-0.703 5.700 16.086 Mn
1.352 1.477 2.056 Mn
2.596 2.784 12.043 Co
2.695 3.002 4.132 Co
-0.565 5.799 7.976 Co
0.971 4.234 14.053 Co
1.227 1.339 10.041 Co


MgFe4P4O16, optimized geometry, DFT PBE+U; DFT total energy = -176.12 eV/cell; energy of formation from the pure elements = -5773 kJ/mol of formula units
1.0
10.354 0.113 0.252
0.077 7.139 0.019
0.126 0.013 5.163
O P Fe Mg
16 4 4 1
Cartesian
6.920 1.230 1.313 O
9.161 2.178 3.774 O
9.884 7.059 1.567 O
4.092 2.867 2.185 O
3.597 4.517 4.010 O
8.728 4.703 3.685 O
1.781 0.866 1.444 O
9.051 3.564 0.751 O
4.831 7.068 1.410 O
5.859 3.465 3.936 O
7.023 5.826 1.084 O
3.833 2.023 4.509 O
1.499 5.484 1.770 O
1.385 6.553 4.660 O
6.545 6.851 3.310 O
0.684 3.675 3.970 O
9.516 3.529 4.376 P
1.056 6.771 1.013 P
6.343 7.070 1.804 P
4.381 3.206 3.672 P
1.865 5.073 3.592 Fe
6.676 5.189 4.352 Fe
3.607 1.407 1.115 Fe
8.730 1.751 1.872 Fe
8.814 5.305 1.780 Mg


La7SmV7CrO20, optimized geometry, DFT PBE+U; DFT total energy = -1152.41 eV/cell; energy of formation from the pure elements = -10061 kJ/mol of formula units
1.0
-0.020 -0.018 11.044
11.507 0.038 -0.022
-5.689 16.104 -5.536
O V La Sm Cr
80 28 28 4 4
Cartesian
2.082 12.067 6.132 O
-0.443 14.067 5.625 O
3.386 10.069 -2.691 O
1.488 8.429 4.158 O
3.396 14.162 2.886 O
6.262 2.026 0.173 O
-0.421 10.154 0.182 O
6.625 12.074 -2.118 O
8.208 5.938 8.430 O
10.044 0.492 9.710 O
-3.483 12.086 6.080 O
6.191 2.108 5.556 O
6.608 12.057 3.422 O
1.478 15.731 4.162 O
2.395 2.140 8.517 O
6.253 5.959 0.050 O
-4.304 15.680 1.422 O
10.058 0.476 6.989 O
2.405 2.128 2.932 O
10.164 0.520 4.195 O
-1.457 7.653 1.439 O
10.071 0.530 1.347 O
4.279 7.624 6.947 O
7.300 8.494 1.396 O
6.189 5.950 5.541 O
-2.316 13.992 2.942 O
0.445 5.934 0.004 O
1.495 15.759 -4.158 O
-1.496 7.622 6.944 O
5.349 10.124 5.626 O
3.535 4.059 0.465 O
0.454 5.897 5.654 O
1.493 15.723 -1.363 O
7.268 8.386 6.930 O
8.176 6.026 2.833 O
2.416 5.963 2.884 O
3.507 4.037 6.006 O
4.425 0.388 9.690 O
9.254 3.942 0.340 O
0.501 2.011 0.029 O
-4.316 15.737 -4.150 O
0.595 12.225 3.222 O
4.298 7.643 1.431 O
-1.455 7.651 4.166 O
-0.402 14.020 0.347 O
5.289 14.181 0.055 O
1.543 8.397 1.407 O
5.323 10.133 0.093 O
4.297 7.673 4.149 O
-2.330 10.078 -2.734 O
-4.415 15.719 4.146 O
8.142 2.125 2.880 O
0.504 2.066 5.843 O
7.264 8.460 -1.380 O
4.399 0.410 4.120 O
-4.319 15.743 -1.305 O
-0.759 4.030 3.378 O
0.747 12.098 -2.281 O
3.339 10.119 2.826 O
-2.307 10.152 2.882 O
4.308 7.624 -1.375 O
5.025 3.941 3.389 O
4.272 0.430 6.966 O
9.303 4.041 6.027 O
4.379 0.435 1.400 O
7.252 8.462 4.141 O
2.066 12.093 0.617 O
1.585 15.765 1.456 O
-0.583 3.899 8.698 O
8.141 2.074 8.553 O
1.506 8.420 -1.364 O
-0.446 10.206 5.642 O
3.413 14.087 -2.737 O
1.524 8.416 6.933 O
-1.441 7.684 -1.360 O
5.303 14.154 5.581 O
-2.346 14.054 -2.729 O
-3.614 12.109 0.633 O
2.370 5.913 8.364 O
5.011 4.042 8.956 O
5.767 8.050 5.544 V
-2.846 8.068 2.803 V
-2.906 12.095 -2.820 V
2.848 0.005 8.381 V
0.027 8.054 0.042 V
0.215 12.111 5.281 V
2.816 12.158 2.632 V
0.008 8.051 5.569 V
8.824 3.964 8.078 V
5.862 12.134 5.428 V
8.662 8.064 -2.734 V
0.114 12.123 -0.246 V
-3.002 12.104 2.631 V
8.666 0.052 2.798 V
5.722 4.022 5.402 V
5.787 8.058 0.025 V
8.724 4.054 2.457 V
2.860 0.037 2.798 V
3.063 4.016 2.534 V
5.617 3.991 0.009 V
-0.167 3.990 -0.117 V
-0.227 3.947 5.435 V
5.812 12.151 -0.121 V
2.909 8.032 -2.729 V
0.073 16.111 0.072 V
2.869 12.089 -2.894 V
2.903 8.050 2.798 V
3.113 3.999 8.081 V
-2.826 9.863 5.588 La
0.012 6.179 8.331 La
2.958 14.192 5.557 La
5.746 14.218 -2.745 La
5.824 6.184 8.319 La
5.735 9.993 -2.767 La
2.809 6.272 5.547 La
2.895 1.766 5.515 La
0.039 9.900 -2.735 La
8.559 6.222 5.497 La
5.812 6.162 2.760 La
2.920 14.207 -0.032 La
2.820 6.285 0.027 La
-2.800 9.961 -0.014 La
8.585 6.260 0.019 La
5.738 14.180 2.747 La
5.713 9.980 2.740 La
-2.844 14.286 5.571 La
2.870 1.835 0.029 La
5.782 1.902 8.273 La
0.030 14.365 -2.742 La
0.047 6.165 2.779 La
0.046 9.902 2.746 La
-2.786 14.247 0.007 La
8.564 1.827 5.458 La
3.005 9.973 5.527 La
2.986 10.019 -0.002 La
0.048 1.858 2.731 La
8.564 1.781 0.042 Sm
5.846 1.842 2.787 Sm
-0.021 14.410 2.741 Sm
0.098 1.709 8.369 Sm
8.634 0.048 8.360 Cr
11.471 0.057 0.018 Cr
-0.013 0.024 5.618 Cr
5.777 0.023 0.042 Cr


YCo3O6, optimized geometry, DFT PBE+U; DFT total energy = -265.75 eV/cell; energy of formation from the pure elements = -1736 kJ/mol of formula units
1.0
3.277 1.040 -4.596
3.102 -1.446 5.135
-1.969 -13.924 -5.553
O Co Y
24 12 4
Cartesian
2.508 -12.973 -4.476 O
1.067 -14.887 -1.863 O
4.282 -1.342 -1.499 O
1.878 -9.527 -3.553 O
5.052 -4.109 -0.651 O
3.467 -7.830 -2.572 O
1.545 -5.321 -5.697 O
0.943 -6.500 -2.443 O
1.013 -11.386 -1.515 O
2.865 -9.008 0.683 O
3.343 0.557 -3.152 O
3.397 -2.943 -3.499 O
1.902 -1.357 -0.538 O
3.490 -5.432 -4.110 O
3.450 -11.503 -2.704 O
0.128 -12.988 -3.516 O
-0.642 -10.221 -4.363 O
2.532 -4.802 -1.461 O
1.924 -7.999 -6.634 O
2.486 -6.330 1.619 O
0.920 -8.897 -0.904 O
4.061 -1.573 1.219 O
0.349 -12.756 -6.233 O
0.961 -2.827 -2.311 O
1.638 0.520 -2.298 Co
2.634 -2.162 -1.953 Co
-0.985 -6.962 -2.777 Co
2.520 -4.034 -4.758 Co
4.122 -4.517 -2.378 Co
1.551 -0.723 2.568 Co
0.933 -4.644 -2.425 Co
0.288 -9.813 -2.637 Co
1.891 -10.296 -0.256 Co
3.477 -9.685 -2.589 Co
1.776 -12.168 -3.062 Co
3.190 -0.203 0.269 Co
2.136 -7.355 -4.376 Y
5.975 -2.134 -0.063 Y
2.274 -6.974 -0.639 Y
-1.565 -12.196 -4.951 Y


> Among the records above, which one has the highest DFT total energy?

LiVBO4


Copy entry 4 word for word.
LiVBO4, optimized geometry, DFT PBE+U; DFT total energy = -50.90 eV/cell; piezoelectric modulus e_max = 0.53 C/m2; energy of formation from the pure elements = -1726 kJ/mol of formula units
1.0
-2.014 2.432 3.767
2.550 4.171 -0.508
-2.564 -2.139 -3.607
O Li V B
4 1 1 1
Cartesian
1.152 3.024 -0.231 O
-1.201 4.726 1.262 O
-3.326 -0.358 -1.004 O
-0.681 1.536 -0.723 O
0.268 3.302 1.629 Li
0.000 0.000 0.000 V
0.127 2.667 -1.243 B


> Among the records above, which one has the highest energy of formation from the pure elements?

LiVBO4